Entry 1:
A relaxed structure of GaAu. Source: Materials Project, functional PBE. Values from VASP.

Structure (Quantum ESPRESSO input):
```
&SYSTEM
  ibrav = 0, nat = 8, ntyp = 2
/
ATOMIC_SPECIES
Ga 69.72 Ga.upf
Au 196.97 Au.upf
CELL_PARAMETERS angstrom
3.593 0.000 0.000
0.000 6.388 0.000
0.000 0.000 6.454
ATOMIC_POSITIONS crystal
Ga 0.750 0.317 0.930
Ga 0.750 0.817 0.570
Ga 0.250 0.183 0.430
Ga 0.250 0.683 0.070
Au 0.250 0.006 0.809
Au 0.750 0.494 0.309
Au 0.750 0.994 0.191
Au 0.250 0.506 0.691
```

**Total energy**: -27.044 eV for the cell shown
**Formation energy**: -0.229 eV per atom
**SG**: Pnma

Entry 2:
A relaxed structure of HoGaAu. Source: Materials Project, functional PBE. Values from VASP.

Structure (Quantum ESPRESSO input):
```
&SYSTEM
  ibrav = 0, nat = 6, ntyp = 3
/
ATOMIC_SPECIES
Ho 164.93 Ho.upf
Ga 69.72 Ga.upf
Au 196.97 Au.upf
CELL_PARAMETERS angstrom
2.257 5.222 0.000
-2.257 5.222 0.000
0.000 4.712 5.301
ATOMIC_POSITIONS crystal
Ho 0.537 0.537 0.704
Ho 0.463 0.463 0.296
Ga 0.841 0.841 0.109
Ga 0.159 0.159 0.891
Au 0.177 0.177 0.281
Au 0.823 0.823 0.719
```

**Total energy**: -26.496 eV for the cell shown
**Formation energy**: -0.788 eV per atom
**SG**: C2/m

Entry 3:
A relaxed structure of K2GaAuI6. Source: Materials Project, functional PBE. Values from VASP.

Structure (Quantum ESPRESSO input):
```
&SYSTEM
  ibrav = 0, nat = 10, ntyp = 4
/
ATOMIC_SPECIES
K 39.10 K.upf
Ga 69.72 Ga.upf
Au 196.97 Au.upf
I 126.90 I.upf
CELL_PARAMETERS angstrom
0.000 5.824 5.824
5.824 0.000 5.824
5.824 5.824 0.000
ATOMIC_POSITIONS crystal
K 0.750 0.750 0.750
K 0.250 0.250 0.250
Ga 0.000 0.000 0.000
Au 0.500 0.500 0.500
I 0.752 0.248 0.248
I 0.248 0.248 0.752
I 0.248 0.752 0.752
I 0.248 0.752 0.248
I 0.752 0.248 0.752
I 0.752 0.752 0.248
```

**Total energy**: -24.486 eV for the cell shown
**Formation energy**: -0.909 eV per atom
**SG**: Fm-3m
**Spin magnetization**: 0.00 μB per formula unit

Entry 4:
A relaxed structure of La2Ga7Au. Source: Materials Project, functional PBE. Values from VASP.

Structure (Quantum ESPRESSO input):
```
&SYSTEM
  ibrav = 0, nat = 10, ntyp = 3
/
ATOMIC_SPECIES
La 138.91 La.upf
Ga 69.72 Ga.upf
Au 196.97 Au.upf
CELL_PARAMETERS angstrom
4.469 0.000 0.000
0.000 4.469 0.000
0.000 0.000 10.626
ATOMIC_POSITIONS crystal
La 0.000 0.000 0.998
La 0.500 0.500 0.494
Ga 0.000 0.500 0.250
Ga 0.500 0.000 0.750
Ga 0.500 0.000 0.250
Ga 0.000 0.500 0.750
Ga 0.000 0.000 0.619
Ga 0.000 0.000 0.383
Ga 0.500 0.500 0.884
Au 0.500 0.500 0.122
```

**Total energy**: -40.231 eV for the cell shown
**Formation energy**: -0.589 eV per atom
**SG**: P4mm

Entry 5:
A relaxed structure of Li2GaAu. Source: Materials Project, functional PBE. Values from VASP.

Structure (Quantum ESPRESSO input):
```
&SYSTEM
  ibrav = 0, nat = 4, ntyp = 3
/
ATOMIC_SPECIES
Li 6.94 Li.upf
Ga 69.72 Ga.upf
Au 196.97 Au.upf
CELL_PARAMETERS angstrom
-3.995 -0.353 -1.852
-3.181 2.883 1.042
-1.331 2.989 -2.968
ATOMIC_POSITIONS crystal
Li 0.250 0.250 0.250
Li 0.500 0.500 0.500
Ga 0.000 0.000 0.000
Au 0.750 0.750 0.750
```

**Total energy**: -12.166 eV for the cell shown
**Formation energy**: -0.512 eV per atom
**SG**: F-43m

Entry 6:
A relaxed structure of LuGaAu. Source: Materials Project, functional PBE. Values from VASP.

Structure (Quantum ESPRESSO input):
```
&SYSTEM
  ibrav = 0, nat = 6, ntyp = 3
/
ATOMIC_SPECIES
Lu 174.97 Lu.upf
Ga 69.72 Ga.upf
Au 196.97 Au.upf
CELL_PARAMETERS angstrom
2.241 5.171 0.000
-2.241 5.171 0.000
0.000 4.602 5.215
ATOMIC_POSITIONS crystal
Lu 0.537 0.537 0.705
Lu 0.463 0.463 0.295
Ga 0.841 0.841 0.111
Ga 0.159 0.159 0.889
Au 0.177 0.177 0.282
Au 0.823 0.823 0.718
```

**Total energy**: -26.232 eV for the cell shown
**Formation energy**: -0.764 eV per atom
**SG**: C2/m